# 1
Here is crystalline MgMn12O17F7 at its relaxed geometry from the Materials Project. Energies are from PBE with a Hubbard U.

Space group ... No. 1
Energy relative to the lowest polymorph listed for this composition ... 0.24 eV per formula unit
ΔE_f ... -2123 meV/atom
V ... 11.1 Å³ per atom

abc: 4.793 5.715 14.991
angles: 92.57 86.96 91.71
Fractional positions:
O  0.817  0.554  0.179
O  0.223  0.904  0.800
Mn  0.017  0.150  0.417
F  0.761  0.877  0.689
O  0.223  0.082  0.306
Mn  0.499  0.617  0.422
O  0.244  0.420  0.808
O  0.722  0.608  0.526
Mn  0.021  0.819  0.577
O  0.732  0.362  0.363
Mn  0.989  0.859  0.905
Mn  0.995  0.340  0.082
O  0.673  0.363  0.016
O  0.311  0.575  0.313
Mn  0.052  0.795  0.250
O  0.313  0.341  0.150
O  0.281  0.386  0.481
O  0.684  0.641  0.858
Mg  0.468  0.078  0.073
O  0.228  0.865  0.468
F  0.760  0.094  0.177
O  0.193  0.140  0.978
Mn  0.512  0.608  0.094
Mn  0.479  0.651  0.751
O  0.224  0.122  0.632
Mn  0.513  0.316  0.262
O  0.292  0.835  0.147
O  0.706  0.397  0.691
F  0.728  0.856  0.018
F  0.769  0.845  0.354
F  0.207  0.618  0.990
Mn  0.007  0.182  0.737
O  0.275  0.605  0.645
F  0.765  0.139  0.848
Mn  0.492  0.367  0.586
Mn  0.463  0.368  0.906
F  0.752  0.124  0.527

---

# 2
Here is crystalline MgMn5O9F at its relaxed geometry from the Materials Project. Energies are from PBE with a Hubbard U.

Space group ... No. 1
Energy relative to the lowest polymorph listed for this composition ... 0.72 eV per formula unit
ΔE_f ... -2057 meV/atom
V ... 12.0 Å³ per atom

abc: 5.263 5.222 7.871
angles: 109.90 76.90 82.14
Fractional positions:
O  0.799  0.973  0.271
Mg  0.506  0.590  0.695
O  0.774  0.813  0.827
Mn  0.989  0.812  0.596
O  0.193  0.813  0.360
O  0.802  0.216  0.643
O  0.180  0.213  0.158
O  0.796  0.550  0.435
Mn  0.996  0.597  0.203
Mn  0.017  0.190  0.395
O  0.215  0.428  0.568
Mn  0.953  0.015  0.014
Mn  0.002  0.412  0.803
F  0.269  0.968  0.742
O  0.807  0.388  0.036
O  0.188  0.635  0.960

---

# 3
Here is crystalline MgMn8O8F8 at its relaxed geometry from the Materials Project. Energies are from PBE with a Hubbard U.

Space group ... No. 1
Energy relative to the lowest polymorph listed for this composition ... 0.90 eV per formula unit
ΔE_f ... -2364 meV/atom
V ... 12.0 Å³ per atom

abc: 4.837 4.992 12.407
angles: 91.98 90.94 88.84
Fractional positions:
F  0.276  0.279  0.496
O  0.667  0.724  0.002
O  0.325  0.353  0.747
Mn  0.039  0.023  0.260
O  0.178  0.815  0.870
F  0.792  0.200  0.383
Mn  0.972  0.946  0.499
Mn  0.474  0.526  0.621
F  0.793  0.211  0.618
O  0.646  0.677  0.496
Mn  0.581  0.468  0.122
F  0.807  0.251  0.874
F  0.331  0.217  0.012
O  0.167  0.785  0.371
Mn  0.983  0.970  0.988
F  0.199  0.738  0.125
O  0.174  0.809  0.619
Mg  0.503  0.978  0.125
F  0.692  0.753  0.745
Mn  0.463  0.497  0.377
O  0.857  0.162  0.123
F  0.686  0.753  0.243
Mn  0.488  0.553  0.866
O  0.359  0.259  0.241
Mn  0.048  0.040  0.744

---

# 4
Here is crystalline MgMn6O7F5 at its relaxed geometry from the Materials Project. Energies are from PBE with a Hubbard U.

Space group ... No. 1
Energy relative to the lowest polymorph listed for this composition ... 1.71 eV per formula unit
ΔE_f ... -2315 meV/atom
V ... 11.6 Å³ per atom

abc: 4.961 7.877 5.677
angles: 92.98 88.46 88.47
Fractional positions:
Mn  0.458  0.001  0.471
Mn  0.530  0.318  0.834
F  0.721  0.081  0.795
O  0.848  0.733  0.958
F  0.332  0.564  0.834
O  0.322  0.894  0.166
Mn  0.523  0.673  0.142
Mn  0.995  0.686  0.630
Mn  0.016  0.976  0.997
F  0.175  0.582  0.317
F  0.171  0.261  0.035
O  0.677  0.433  0.162
O  0.859  0.450  0.668
O  0.303  0.220  0.536
F  0.654  0.771  0.469
O  0.184  0.897  0.684
O  0.807  0.074  0.285
Mn  0.943  0.285  0.406
Mg  0.010  0.492  0.004

---

# 5
Here is crystalline MgMn6O7F5 at its relaxed geometry from the Materials Project. Energies are from PBE with a Hubbard U.

Space group ... No. 1
Energy relative to the lowest polymorph listed for this composition ... 0.87 eV per formula unit
ΔE_f ... -2360 meV/atom
V ... 12.1 Å³ per atom

abc: 5.214 7.870 5.722
angles: 93.93 81.37 95.88
Fractional positions:
Mg  0.535  0.179  0.149
F  0.334  0.945  0.198
O  0.620  0.419  0.044
O  0.810  0.087  0.301
O  0.176  0.888  0.717
Mn  0.508  0.981  0.533
Mn  0.033  0.306  0.417
Mn  0.959  0.679  0.659
Mn  0.633  0.613  0.253
O  0.361  0.215  0.503
F  0.689  0.114  0.816
O  0.753  0.471  0.540
O  0.691  0.780  0.505
Mn  0.474  0.364  0.760
O  0.797  0.755  0.006
Mn  0.007  0.964  0.029
F  0.226  0.568  0.340
F  0.176  0.519  0.786
F  0.204  0.211  0.004

---

# 6
Here is crystalline MgMn6O7F5 at its relaxed geometry from the Materials Project. Energies are from PBE with a Hubbard U.

Space group ... No. 1
Energy relative to the lowest polymorph listed for this composition ... 0.07 eV per formula unit
ΔE_f ... -2402 meV/atom
V ... 12.3 Å³ per atom

abc: 8.509 5.838 6.117
angles: 65.20 62.08 64.92
Fractional positions:
F  0.030  0.772  0.780
O  0.679  0.646  0.027
Mn  0.507  0.995  0.999
F  0.694  0.082  0.144
F  0.951  0.244  0.226
O  0.341  0.958  0.363
O  0.006  0.307  0.688
Mg  0.499  0.998  0.503
O  0.668  0.030  0.633
F  0.302  0.877  0.841
Mn  0.998  0.999  0.001
O  0.420  0.403  0.440
O  0.010  0.691  0.308
Mn  0.151  0.326  0.326
Mn  0.679  0.366  0.336
F  0.623  0.609  0.558
Mn  0.856  0.668  0.668
O  0.324  0.338  0.964
Mn  0.311  0.620  0.659

---

# 7
Here is crystalline MgMn6O7F5 at its relaxed geometry from the Materials Project. Energies are from PBE with a Hubbard U.

Space group ... No. 1
Energy relative to the lowest polymorph listed for this composition ... 0.87 eV per formula unit
ΔE_f ... -2359 meV/atom
V ... 12.2 Å³ per atom

abc: 5.179 7.927 5.753
angles: 96.75 98.48 83.78
Fractional positions:
Mn  0.960  0.296  0.365
Mn  0.492  0.320  0.833
Mn  0.548  0.680  0.122
O  0.853  0.737  0.944
F  0.827  0.428  0.666
F  0.175  0.253  0.034
Mn  0.531  0.010  0.492
O  0.816  0.084  0.273
Mg  0.014  0.492  0.007
Mn  0.002  0.681  0.644
F  0.135  0.545  0.356
O  0.701  0.103  0.790
O  0.702  0.418  0.129
O  0.702  0.781  0.452
O  0.302  0.553  0.851
Mn  0.965  0.990  0.001
F  0.182  0.911  0.742
F  0.300  0.911  0.207
O  0.308  0.223  0.532

---

# 8
Here is crystalline MgMn6O7F5 at its relaxed geometry from the Materials Project. Energies are from PBE with a Hubbard U.

Space group ... No. 1
Energy relative to the lowest polymorph listed for this composition ... 0.95 eV per formula unit
ΔE_f ... -2355 meV/atom
V ... 11.6 Å³ per atom

abc: 7.750 5.799 5.629
angles: 71.27 71.95 71.11
Fractional positions:
O  0.014  0.680  0.374
F  0.684  0.521  0.605
O  0.321  0.985  0.316
O  0.945  0.225  0.293
Mn  0.483  0.994  0.974
F  0.298  0.874  0.868
F  0.017  0.285  0.771
Mn  0.642  0.354  0.315
O  0.646  0.050  0.627
Mn  0.835  0.683  0.712
F  0.705  0.130  0.057
O  0.373  0.449  0.392
Mg  0.841  0.168  0.682
Mn  0.274  0.694  0.605
O  0.001  0.817  0.809
Mn  0.018  0.969  0.093
O  0.661  0.663  0.042
Mn  0.177  0.341  0.316
F  0.325  0.367  0.914

---

# 9
Here is crystalline MgMn6O7F5 at its relaxed geometry from the Materials Project. Energies are from PBE with a Hubbard U.

Space group ... No. 1
Energy relative to the lowest polymorph listed for this composition ... 0.91 eV per formula unit
ΔE_f ... -2358 meV/atom
V ... 12.3 Å³ per atom

abc: 5.347 7.738 5.741
angles: 97.92 84.89 89.69
Fractional positions:
F  0.323  0.896  0.153
O  0.792  0.062  0.304
Mn  0.533  0.675  0.098
O  0.378  0.241  0.570
O  0.625  0.445  0.141
F  0.195  0.592  0.354
F  0.176  0.211  0.075
Mg  0.499  0.491  0.484
F  0.727  0.134  0.810
O  0.161  0.936  0.664
O  0.639  0.748  0.425
Mn  0.990  0.993  0.005
O  0.372  0.559  0.832
O  0.816  0.785  0.912
Mn  0.972  0.714  0.607
Mn  0.464  0.330  0.891
F  0.841  0.453  0.603
Mn  0.501  0.987  0.488
Mn  0.011  0.198  0.524

---

# 10
Here is crystalline MgMn6O7F5 at its relaxed geometry from the Materials Project. Energies are from PBE with a Hubbard U.

Space group ... No. 1
Energy relative to the lowest polymorph listed for this composition ... 0.76 eV per formula unit
ΔE_f ... -2365 meV/atom
V ... 12.0 Å³ per atom

abc: 8.229 5.737 5.867
angles: 68.21 67.65 67.50
Fractional positions:
Mn  0.304  0.660  0.663
O  0.311  0.927  0.326
F  0.989  0.324  0.681
F  0.693  0.076  0.148
Mn  0.114  0.281  0.292
O  0.407  0.408  0.484
Mg  0.349  0.634  0.158
F  0.058  0.689  0.284
Mn  0.510  0.028  0.015
O  0.621  0.650  0.054
O  0.346  0.389  0.985
F  0.267  0.915  0.859
F  0.689  0.616  0.549
Mn  0.835  0.706  0.697
O  0.686  0.062  0.676
O  0.013  0.771  0.793
O  0.927  0.230  0.194
Mn  0.669  0.351  0.363
Mn  0.963  0.009  0.992

---

# 11
Here is crystalline MgMn8O8F8 at its relaxed geometry from the Materials Project. Energies are from PBE with a Hubbard U.

Space group ... No. 1
Energy relative to the lowest polymorph listed for this composition ... 0.00 eV per formula unit
ΔE_f ... -2400 meV/atom
V ... 11.9 Å³ per atom

abc: 4.808 4.889 12.651
angles: 90.27 89.88 89.87
Fractional positions:
Mn  0.465  0.517  0.366
Mg  0.959  0.519  0.745
Mn  0.529  0.445  0.128
Mn  0.473  0.517  0.889
O  0.340  0.378  0.748
O  0.151  0.761  0.878
O  0.667  0.666  0.007
Mn  0.969  0.954  0.493
Mn  0.463  0.530  0.606
O  0.149  0.777  0.628
Mn  0.282  0.989  0.755
F  0.808  0.276  0.859
F  0.798  0.288  0.629
O  0.329  0.294  0.246
O  0.176  0.800  0.362
O  0.833  0.168  0.122
F  0.783  0.221  0.375
F  0.670  0.792  0.755
F  0.272  0.270  0.497
Mn  0.030  0.006  0.245
O  0.633  0.703  0.490
F  0.716  0.713  0.243
F  0.211  0.738  0.123
Mn  0.969  0.942  0.003
F  0.298  0.222  0.992

---

# 12
Here is crystalline MgMn6O11F at its relaxed geometry from the Materials Project. Energies are from PBE with a Hubbard U.

Space group ... No. 6
Energy relative to the lowest polymorph listed for this composition ... 0.65 eV per formula unit
ΔE_f ... -1979 meV/atom
V ... 11.5 Å³ per atom

abc: 11.986 6.643 2.921
angles: 90.00 89.99 110.35
Fractional positions:
O  0.328  0.050  0.010
O  0.828  0.347  0.511
O  0.888  0.947  0.511
Mn  0.001  0.004  0.011
O  0.406  0.785  0.510
O  0.017  0.322  0.011
O  0.598  0.208  0.511
O  0.111  0.063  0.511
O  0.176  0.654  0.510
Mn  0.720  0.308  0.011
O  0.297  0.407  0.010
Mn  0.719  0.776  0.512
O  0.705  0.590  0.012
Mn  0.287  0.210  0.510
Mn  0.285  0.692  0.010
Mg  0.493  0.015  0.011
Mn  0.002  0.503  0.511
F  0.660  0.934  0.012
O  0.986  0.685  0.011

---

Among the records above, which one has the lowest energy relative to the lowest polymorph listed for this composition?
number 11